i) Compound: LiVSiO4
Source: the Materials Project database
Functional: GGA+U
Structure: optimized geometry

Geometry as POSCAR:
```
LiVSiO4
1.0
8.215 0.000 0.000
0.000 5.432 0.000
-2.354 0.000 8.165
Li V Si O
4 4 4 16
Cartesian
0.000 0.838 0.000 Li
-1.177 4.594 4.082 Li
2.708 1.851 5.799 Li
3.885 3.581 1.716 Li
2.533 0.902 2.571 V
1.356 4.530 6.654 V
5.864 1.839 5.126 V
7.041 3.593 1.044 V
0.072 1.829 7.651 Si
1.249 3.603 3.569 Si
5.737 0.890 2.064 Si
4.560 4.543 6.147 Si
-1.219 1.684 6.645 O
-0.042 3.748 2.563 O
1.764 1.182 0.853 O
0.587 4.250 4.935 O
1.788 2.083 3.898 O
0.611 3.349 7.980 O
1.352 0.980 7.045 O
2.529 4.452 2.963 O
4.295 1.657 2.226 O
3.118 3.775 6.308 O
4.363 0.693 5.698 O
5.540 4.739 1.615 O
6.664 1.694 0.957 O
5.487 3.738 5.040 O
6.491 0.945 3.539 O
5.314 4.487 7.622 O
```

Results
- Space group: Pc (7)
- Magnetization: 0.0 μB/cell

***

ii) Compound: LiVSiO4
Source: the Materials Project database
Functional: GGA+U
Structure: optimized geometry

Geometry as POSCAR:
```
LiVSiO4
1.0
10.425 0.000 0.000
0.000 5.810 0.000
0.000 0.000 4.788
Li V Si O
4 4 4 16
Cartesian
0.000 0.000 0.000 Li
0.000 2.905 0.000 Li
5.213 0.000 2.394 Li
5.213 2.905 2.394 Li
2.362 1.452 2.373 V
2.850 4.357 4.767 V
7.575 1.452 0.021 V
8.063 4.357 2.415 V
0.961 4.357 2.121 Si
4.251 1.452 4.515 Si
6.174 4.357 0.273 Si
9.464 1.452 2.667 Si
0.534 1.452 3.313 O
1.034 4.357 3.733 O
1.808 3.109 1.371 O
1.808 5.606 1.371 O
3.405 0.204 3.765 O
3.405 2.701 3.765 O
4.178 1.452 1.339 O
4.679 4.357 0.919 O
5.746 1.452 3.869 O
6.247 4.357 3.449 O
7.020 3.109 1.023 O
7.020 5.606 1.023 O
8.617 0.204 3.417 O
8.617 2.701 3.417 O
9.391 1.452 1.055 O
9.891 4.357 1.475 O
```

Results
- Space group: Pnma (62)
- Magnetization: 8.0 μB/cell

***

List of relative energies, unit meV per atom: i) 78; ii) 0

***

i) Compound: LiVSiO4
Source: the Materials Project database
Functional: GGA+U
Structure: optimized geometry

Geometry as POSCAR:
```
LiVSiO4
1.0
7.321 0.000 0.000
0.000 7.321 0.000
0.000 0.000 7.321
Li V Si O
4 4 4 16
Cartesian
1.815 1.815 1.815 Li
1.845 5.506 5.476 Li
5.476 1.845 5.506 Li
5.506 5.476 1.845 Li
1.424 2.237 5.084 V
2.237 5.084 1.424 V
5.084 1.424 2.237 V
5.898 5.898 5.898 V
0.226 7.095 3.434 Si
3.434 0.226 7.095 Si
3.887 3.887 3.887 Si
7.095 3.434 0.226 Si
0.189 6.472 4.967 O
0.850 1.306 3.472 O
1.157 6.164 2.504 O
1.306 3.472 0.850 O
2.354 3.849 4.510 O
2.504 1.157 6.164 O
2.811 6.015 7.133 O
3.472 0.850 1.306 O
3.849 4.510 2.354 O
4.510 2.354 3.849 O
4.818 4.818 4.818 O
4.967 0.189 6.472 O
6.015 7.133 2.811 O
6.164 2.504 1.157 O
6.472 4.967 0.189 O
7.133 2.811 6.015 O
```

Results
- Space group: P2_13 (198)
- Magnetization: 8.0 μB/cell

***

ii) Compound: LiVSiO4
Source: the Materials Project database
Functional: GGA+U
Structure: optimized geometry

Geometry as POSCAR:
```
LiVSiO4
1.0
10.315 0.000 0.000
0.000 5.157 0.000
0.000 0.000 13.707
Li V Si O
8 8 8 32
Cartesian
0.361 0.322 0.000 Li
2.202 2.845 3.465 Li
2.956 2.845 10.318 Li
4.797 0.322 6.853 Li
5.519 4.835 0.000 Li
7.359 2.313 3.465 Li
8.113 2.313 10.318 Li
9.954 4.835 6.853 Li
0.337 4.774 10.281 V
2.228 2.876 0.015 V
2.929 2.876 6.868 V
4.821 4.774 3.428 V
5.494 0.384 10.281 V
7.386 2.282 0.015 V
8.087 2.282 6.868 V
9.979 0.384 3.428 V
0.332 2.245 8.568 Si
2.234 0.289 5.161 Si
2.924 0.289 12.015 Si
4.826 2.245 1.715 Si
5.490 2.912 8.568 Si
7.392 4.868 5.161 Si
8.081 4.868 12.015 Si
9.983 2.912 1.715 Si
0.012 0.632 8.660 O
0.286 2.193 3.061 O
0.402 2.304 0.371 O
0.619 5.133 5.084 O
1.946 2.560 8.500 O
2.230 4.762 10.683 O
2.247 4.773 13.357 O
2.524 1.908 5.225 O
2.633 1.908 12.078 O
2.911 4.773 6.503 O
2.928 4.762 3.830 O
3.212 2.560 1.647 O
4.538 5.133 11.937 O
4.755 2.304 7.224 O
4.872 2.193 9.914 O
5.145 0.632 1.806 O
5.170 4.525 8.660 O
5.443 2.964 3.061 O
5.560 2.854 0.371 O
5.777 0.025 5.084 O
7.104 2.597 8.500 O
7.388 0.395 10.683 O
7.405 0.384 13.357 O
7.682 3.249 5.225 O
7.791 3.249 12.078 O
8.068 0.384 6.503 O
8.085 0.395 3.830 O
8.369 2.597 1.647 O
9.696 0.025 11.937 O
9.913 2.854 7.224 O
10.029 2.964 9.914 O
10.303 4.525 1.806 O
```

Results
- Space group: Pca2_1 (29)
- Magnetization: 16.0 μB/cell

***

List of relative energies, unit meV per atom: i) 13; ii) 0